1.
# PBE GdThRu2, relaxed
# symmetry: Fm-3m, No. 225
data_GdThRu2
_chemical_formula_sum 'Gd1 Th1 Ru2'
_cell_length_a 4.939
_cell_length_b 4.939
_cell_length_c 4.939
_cell_angle_alpha 60.00
_cell_angle_beta 60.00
_cell_angle_gamma 60.00
_symmetry_space_group_name_H-M 'P 1'
_symmetry_Int_Tables_number 1
loop_
_symmetry_equiv_pos_as_xyz
'x,y,z'
loop_
_atom_site_label
_atom_site_fract_x
_atom_site_fract_y
_atom_site_fract_z
Gd1 0.000 0.000 0.000
Th1 0.500 0.500 0.500
Ru1 0.250 0.250 0.250
Ru2 0.750 0.750 0.750


2.
# PBE CdSbS2Cl, relaxed
# symmetry: Pnma, No. 62
data_CdSbS2Cl
_chemical_formula_sum 'Cd4 Sb4 S8 Cl4'
_cell_length_a 9.743
_cell_length_b 3.948
_cell_length_c 12.714
_cell_angle_alpha 90.00
_cell_angle_beta 90.00
_cell_angle_gamma 90.00
_symmetry_space_group_name_H-M 'P 1'
_symmetry_Int_Tables_number 1
loop_
_symmetry_equiv_pos_as_xyz
'x,y,z'
loop_
_atom_site_label
_atom_site_fract_x
_atom_site_fract_y
_atom_site_fract_z
Cd1 0.000 0.250 0.231
Cd2 0.000 0.750 0.769
Cd3 0.500 0.250 0.269
Cd4 0.500 0.750 0.731
Sb1 0.183 0.250 0.533
Sb2 0.317 0.750 0.033
Sb3 0.683 0.250 0.967
Sb4 0.817 0.750 0.467
S1 0.052 0.750 0.389
S2 0.240 0.750 0.666
S3 0.260 0.250 0.166
S4 0.448 0.250 0.889
S5 0.552 0.750 0.111
S6 0.740 0.750 0.834
S7 0.760 0.250 0.334
S8 0.948 0.250 0.611
Cl1 0.073 0.250 0.894
Cl2 0.427 0.750 0.394
Cl3 0.573 0.250 0.606
Cl4 0.927 0.750 0.106


3.
# PBE CdSnRh2, relaxed
# symmetry: Fm-3m, No. 225
data_CdSnRh2
_chemical_formula_sum 'Cd1 Sn1 Rh2'
_cell_length_a 4.577
_cell_length_b 4.577
_cell_length_c 4.577
_cell_angle_alpha 60.00
_cell_angle_beta 60.00
_cell_angle_gamma 60.00
_symmetry_space_group_name_H-M 'P 1'
_symmetry_Int_Tables_number 1
loop_
_symmetry_equiv_pos_as_xyz
'x,y,z'
loop_
_atom_site_label
_atom_site_fract_x
_atom_site_fract_y
_atom_site_fract_z
Cd1 0.000 0.000 0.000
Sn1 0.500 0.500 0.500
Rh1 0.250 0.250 0.250
Rh2 0.750 0.750 0.750


4.
# PBE Cs2La10Ru2I17, relaxed
# symmetry: C2/m, No. 12
data_Cs2La10Ru2I17
_chemical_formula_sum 'Cs2 La10 Ru2 I17'
_cell_length_a 11.928
_cell_length_b 11.928
_cell_length_c 10.140
_cell_angle_alpha 93.11
_cell_angle_beta 93.11
_cell_angle_gamma 107.71
_symmetry_space_group_name_H-M 'P 1'
_symmetry_Int_Tables_number 1
loop_
_symmetry_equiv_pos_as_xyz
'x,y,z'
loop_
_atom_site_label
_atom_site_fract_x
_atom_site_fract_y
_atom_site_fract_z
Cs1 0.175 0.825 0.000
Cs2 0.825 0.175 0.000
La1 0.169 0.169 0.443
La2 0.208 0.509 0.572
La3 0.294 0.294 0.816
La4 0.435 0.435 0.322
La5 0.491 0.792 0.428
La6 0.509 0.208 0.572
La7 0.565 0.565 0.678
La8 0.706 0.706 0.184
La9 0.792 0.491 0.428
La10 0.831 0.831 0.557
Ru1 0.357 0.357 0.572
Ru2 0.643 0.643 0.428
I1 0.027 0.688 0.579
I2 0.063 0.063 0.719
I3 0.115 0.450 0.861
I4 0.211 0.211 0.131
I5 0.253 0.601 0.273
I6 0.312 0.973 0.421
I7 0.399 0.747 0.727
I8 0.450 0.115 0.861
I9 0.500 0.500 0.000
I10 0.550 0.885 0.139
I11 0.601 0.253 0.273
I12 0.688 0.027 0.579
I13 0.747 0.399 0.727
I14 0.789 0.789 0.869
I15 0.885 0.550 0.139
I16 0.937 0.937 0.281
I17 0.973 0.312 0.421


5.
# PBE NaZnSn3P3S3O24, relaxed
# symmetry: P1, No. 1
data_NaZnSn3P3S3O24
_chemical_formula_sum 'Na3 Zn3 Sn9 P9 S9 O72'
_cell_length_a 8.744
_cell_length_b 8.763
_cell_length_c 22.716
_cell_angle_alpha 89.69
_cell_angle_beta 89.74
_cell_angle_gamma 60.10
_symmetry_space_group_name_H-M 'P 1'
_symmetry_Int_Tables_number 1
loop_
_symmetry_equiv_pos_as_xyz
'x,y,z'
loop_
_atom_site_label
_atom_site_fract_x
_atom_site_fract_y
_atom_site_fract_z
Na1 0.000 0.000 0.000
Na2 0.007 0.993 0.500
Na3 0.337 0.326 0.835
Zn1 0.012 0.981 0.353
Zn2 0.338 0.321 0.986
Zn3 0.996 0.004 0.849
Sn1 0.330 0.330 0.187
Sn2 0.336 0.324 0.686
Sn3 0.336 0.336 0.483
Sn4 0.664 0.664 0.525
Sn5 0.670 0.663 0.314
Sn6 0.675 0.662 0.811
Sn7 0.675 0.664 0.024
Sn8 0.996 0.998 0.150
Sn9 0.997 0.001 0.649
P1 0.005 0.284 0.753
P2 0.005 0.705 0.253
P3 0.045 0.622 0.585
P4 0.048 0.327 0.083
P5 0.335 0.040 0.584
P6 0.377 0.665 0.418
P7 0.624 0.043 0.084
P8 0.626 0.329 0.585
P9 0.713 0.999 0.753
S1 0.292 0.706 0.753
S2 0.292 0.997 0.252
S3 0.336 0.620 0.083
S4 0.377 0.954 0.918
S5 0.668 0.372 0.918
S6 0.670 0.955 0.418
S7 0.711 0.286 0.253
S8 0.962 0.369 0.418
S9 0.965 0.663 0.918
O1 0.027 0.160 0.093
O2 0.028 0.805 0.592
O3 0.036 0.786 0.306
O4 0.041 0.173 0.807
O5 0.121 0.364 0.140
O6 0.125 0.508 0.640
O7 0.137 0.355 0.425
O8 0.138 0.503 0.924
O9 0.158 0.294 0.029
O10 0.159 0.544 0.529
O11 0.169 0.310 0.745
O12 0.169 0.521 0.242
O13 0.170 0.020 0.591
O14 0.178 0.800 0.091
O15 0.183 0.030 0.304
O16 0.186 0.780 0.805
O17 0.197 0.829 0.412
O18 0.204 0.967 0.912
O19 0.219 0.963 0.198
O20 0.220 0.812 0.698
O21 0.299 0.156 0.528
O22 0.303 0.546 0.031
O23 0.313 0.527 0.745
O24 0.314 0.154 0.244
O25 0.364 0.496 0.425
O26 0.365 0.127 0.923
O27 0.370 0.514 0.138
O28 0.371 0.116 0.639
O29 0.459 0.840 0.972
O30 0.464 0.696 0.473
O31 0.471 0.686 0.758
O32 0.471 0.838 0.258
O33 0.492 0.871 0.865
O34 0.495 0.640 0.078
O35 0.497 0.627 0.362
O36 0.499 0.859 0.577
O37 0.507 0.129 0.425
O38 0.508 0.359 0.924
O39 0.512 0.365 0.640
O40 0.514 0.120 0.141
O41 0.526 0.165 0.745
O42 0.534 0.306 0.243
O43 0.550 0.155 0.029
O44 0.550 0.291 0.529
O45 0.635 0.878 0.365
O46 0.636 0.487 0.865
O47 0.645 0.857 0.078
O48 0.646 0.491 0.577
O49 0.689 0.835 0.759
O50 0.692 0.465 0.258
O51 0.700 0.454 0.972
O52 0.703 0.842 0.471
O53 0.789 0.178 0.305
O54 0.790 0.031 0.807
O55 0.811 0.163 0.590
O56 0.813 0.019 0.091
O57 0.820 0.216 0.198
O58 0.825 0.960 0.696
O59 0.825 0.975 0.412
O60 0.828 0.199 0.913
O61 0.837 0.684 0.259
O62 0.839 0.469 0.759
O63 0.850 0.451 0.471
O64 0.850 0.697 0.971
O65 0.860 0.491 0.077
O66 0.863 0.639 0.576
O67 0.882 0.630 0.865
O68 0.885 0.483 0.365
O69 0.968 0.818 0.196
O70 0.970 0.209 0.696
O71 0.977 0.197 0.411
O72 0.978 0.823 0.912


6.
# PBE Ca6Al3Si8N18, relaxed
# symmetry: P1, No. 1
data_Ca6Al3Si8N18
_chemical_formula_sum 'Ca6 Al3 Si8 N18'
_cell_length_a 7.586
_cell_length_b 7.589
_cell_length_c 7.646
_cell_angle_alpha 81.11
_cell_angle_beta 79.61
_cell_angle_gamma 80.14
_symmetry_space_group_name_H-M 'P 1'
_symmetry_Int_Tables_number 1
loop_
_symmetry_equiv_pos_as_xyz
'x,y,z'
loop_
_atom_site_label
_atom_site_fract_x
_atom_site_fract_y
_atom_site_fract_z
Ca1 0.000 0.000 0.000
Ca2 0.024 0.044 0.432
Ca3 0.312 0.336 0.338
Ca4 0.340 0.330 0.754
Ca5 0.569 0.710 0.714
Ca6 0.682 0.716 0.100
Al1 0.652 0.323 0.048
Al2 0.701 0.391 0.431
Al3 0.969 0.668 0.386
Si1 0.030 0.403 0.088
Si2 0.051 0.717 0.757
Si3 0.288 0.666 0.048
Si4 0.355 0.738 0.419
Si5 0.386 0.050 0.086
Si6 0.634 0.004 0.375
Si7 0.702 0.062 0.758
Si8 0.940 0.364 0.710
N1 0.020 0.488 0.854
N2 0.113 0.559 0.188
N3 0.124 0.244 0.594
N4 0.128 0.732 0.524
N5 0.176 0.196 0.109
N6 0.208 0.777 0.862
N7 0.339 0.825 0.182
N8 0.459 0.893 0.481
N9 0.471 0.523 0.461
N10 0.484 0.521 0.992
N11 0.489 0.040 0.870
N12 0.540 0.134 0.192
N13 0.690 0.143 0.526
N14 0.791 0.228 0.844
N15 0.809 0.388 0.187
N16 0.834 0.875 0.289
N17 0.837 0.507 0.548
N18 0.839 0.853 0.796


7.
# PBE Cu9Se8, relaxed
# symmetry: P1, No. 1
# energy above the most stable polymorph in this dataset: 0 meV per atom
data_Cu9Se8
_chemical_formula_sum 'Cu9 Se8'
_cell_length_a 3.870
_cell_length_b 3.907
_cell_length_c 26.269
_cell_angle_alpha 85.85
_cell_angle_beta 89.78
_cell_angle_gamma 60.34
_symmetry_space_group_name_H-M 'P 1'
_symmetry_Int_Tables_number 1
loop_
_symmetry_equiv_pos_as_xyz
'x,y,z'
loop_
_atom_site_label
_atom_site_fract_x
_atom_site_fract_y
_atom_site_fract_z
Cu1 0.000 0.000 0.000
Cu2 0.024 0.918 0.194
Cu3 0.147 0.671 0.567
Cu4 0.398 0.171 0.317
Cu5 0.521 0.923 0.689
Cu6 0.547 0.762 0.879
Cu7 0.675 0.647 0.074
Cu8 0.772 0.421 0.442
Cu9 0.902 0.176 0.813
Se1 0.057 0.853 0.286
Se2 0.181 0.604 0.658
Se3 0.334 0.325 0.036
Se4 0.431 0.104 0.409
Se5 0.560 0.856 0.782
Se6 0.684 0.598 0.164
Se7 0.806 0.354 0.534
Se8 0.889 0.082 0.910


8.
# PBE Sb2XeF12, relaxed
# symmetry: P2_1, No. 4
data_Sb2XeF12
_chemical_formula_sum 'Sb4 Xe2 F24'
_cell_length_a 7.433
_cell_length_b 9.701
_cell_length_c 8.393
_cell_angle_alpha 90.00
_cell_angle_beta 106.18
_cell_angle_gamma 90.00
_symmetry_space_group_name_H-M 'P 1'
_symmetry_Int_Tables_number 1
loop_
_symmetry_equiv_pos_as_xyz
'x,y,z'
loop_
_atom_site_label
_atom_site_fract_x
_atom_site_fract_y
_atom_site_fract_z
Sb1 0.046 0.000 0.142
Sb2 0.309 0.267 0.696
Sb3 0.691 0.767 0.304
Sb4 0.954 0.500 0.858
Xe1 0.314 0.768 0.710
Xe2 0.686 0.268 0.290
F1 0.081 0.612 0.718
F2 0.128 0.342 0.510
F3 0.133 0.347 0.836
F4 0.144 0.559 0.044
F5 0.146 0.879 0.013
F6 0.162 0.104 0.677
F7 0.201 0.931 0.344
F8 0.207 0.149 0.138
F9 0.427 0.442 0.740
F10 0.460 0.203 0.904
F11 0.465 0.199 0.571
F12 0.489 0.403 0.300
F13 0.511 0.903 0.700
F14 0.535 0.699 0.429
F15 0.540 0.703 0.096
F16 0.573 0.942 0.260
F17 0.793 0.649 0.862
F18 0.799 0.431 0.656
F19 0.838 0.604 0.323
F20 0.854 0.379 0.987
F21 0.856 0.059 0.956
F22 0.867 0.847 0.164
F23 0.872 0.842 0.490
F24 0.919 0.112 0.282


9.
# PBE Li2Eu5Sn7, relaxed
# symmetry: P2_12_12_1, No. 19
data_Li2Eu5Sn7
_chemical_formula_sum 'Li8 Eu20 Sn28'
_cell_length_a 6.377
_cell_length_b 13.947
_cell_length_c 17.820
_cell_angle_alpha 90.00
_cell_angle_beta 90.00
_cell_angle_gamma 90.00
_symmetry_space_group_name_H-M 'P 1'
_symmetry_Int_Tables_number 1
loop_
_symmetry_equiv_pos_as_xyz
'x,y,z'
loop_
_atom_site_label
_atom_site_fract_x
_atom_site_fract_y
_atom_site_fract_z
Li1 0.083 0.231 0.480
Li2 0.121 0.232 0.771
Li3 0.379 0.768 0.271
Li4 0.417 0.769 0.980
Li5 0.583 0.269 0.520
Li6 0.621 0.268 0.229
Li7 0.879 0.732 0.729
Li8 0.917 0.731 0.020
Eu1 0.136 0.501 0.017
Eu2 0.139 0.176 0.283
Eu3 0.139 0.180 0.959
Eu4 0.142 0.924 0.124
Eu5 0.145 0.503 0.738
Eu6 0.355 0.497 0.238
Eu7 0.358 0.076 0.624
Eu8 0.361 0.820 0.459
Eu9 0.361 0.824 0.783
Eu10 0.364 0.499 0.517
Eu11 0.636 0.999 0.983
Eu12 0.639 0.320 0.041
Eu13 0.639 0.324 0.717
Eu14 0.642 0.576 0.876
Eu15 0.645 0.997 0.262
Eu16 0.855 0.003 0.762
Eu17 0.858 0.424 0.376
Eu18 0.861 0.676 0.217
Eu19 0.861 0.680 0.541
Eu20 0.864 0.001 0.483
Sn1 0.093 0.877 0.624
Sn2 0.112 0.631 0.379
Sn3 0.133 0.655 0.880
Sn4 0.139 0.938 0.935
Sn5 0.147 0.943 0.311
Sn6 0.160 0.307 0.122
Sn7 0.190 0.310 0.626
Sn8 0.310 0.690 0.126
Sn9 0.340 0.693 0.622
Sn10 0.353 0.057 0.811
Sn11 0.361 0.062 0.435
Sn12 0.367 0.345 0.380
Sn13 0.388 0.369 0.879
Sn14 0.407 0.123 0.124
Sn15 0.593 0.623 0.376
Sn16 0.612 0.869 0.621
Sn17 0.633 0.845 0.120
Sn18 0.639 0.562 0.065
Sn19 0.647 0.557 0.689
Sn20 0.660 0.193 0.878
Sn21 0.690 0.190 0.374
Sn22 0.810 0.810 0.874
Sn23 0.840 0.807 0.378
Sn24 0.853 0.443 0.189
Sn25 0.861 0.438 0.565
Sn26 0.867 0.155 0.620
Sn27 0.888 0.131 0.121
Sn28 0.907 0.377 0.876


10.
# PBE LaSn3Ru, relaxed
# symmetry: Pm-3n, No. 223
data_LaSn3Ru
_chemical_formula_sum 'La8 Sn24 Ru8'
_cell_length_a 9.877
_cell_length_b 9.877
_cell_length_c 9.877
_cell_angle_alpha 90.00
_cell_angle_beta 90.00
_cell_angle_gamma 90.00
_symmetry_space_group_name_H-M 'P 1'
_symmetry_Int_Tables_number 1
loop_
_symmetry_equiv_pos_as_xyz
'x,y,z'
loop_
_atom_site_label
_atom_site_fract_x
_atom_site_fract_y
_atom_site_fract_z
La1 0.000 0.000 0.000
La2 0.000 0.250 0.500
La3 0.000 0.750 0.500
La4 0.250 0.500 0.000
La5 0.500 0.000 0.250
La6 0.500 0.000 0.750
La7 0.500 0.500 0.500
La8 0.750 0.500 0.000
Sn1 0.000 0.316 0.157
Sn2 0.000 0.316 0.843
Sn3 0.000 0.684 0.157
Sn4 0.000 0.684 0.843
Sn5 0.157 0.000 0.316
Sn6 0.157 0.000 0.684
Sn7 0.184 0.500 0.343
Sn8 0.184 0.500 0.657
Sn9 0.316 0.157 0.000
Sn10 0.316 0.843 0.000
Sn11 0.343 0.184 0.500
Sn12 0.343 0.816 0.500
Sn13 0.500 0.343 0.184
Sn14 0.500 0.343 0.816
Sn15 0.500 0.657 0.184
Sn16 0.500 0.657 0.816
Sn17 0.657 0.184 0.500
Sn18 0.657 0.816 0.500
Sn19 0.684 0.157 0.000
Sn20 0.684 0.843 0.000
Sn21 0.816 0.500 0.343
Sn22 0.816 0.500 0.657
Sn23 0.843 0.000 0.316
Sn24 0.843 0.000 0.684
Ru1 0.250 0.250 0.250
Ru2 0.250 0.250 0.750
Ru3 0.250 0.750 0.250
Ru4 0.250 0.750 0.750
Ru5 0.750 0.250 0.250
Ru6 0.750 0.250 0.750
Ru7 0.750 0.750 0.250
Ru8 0.750 0.750 0.750


Energy relative to the elements for the records above, in order: -0.3822; -0.8937; -0.3391; -1.5500; -2.1759; -1.3573; -0.3373; -2.2550; -0.5935; -0.5312 eV/atom
Uncorrected energy for the records above, in order: -10.3919; -3.6043; -5.2544; -4.4263; -6.3337; -7.3639; -3.9305; -3.9700; -6.5342; -5.7790 eV per atom